The following is a DFT calculation (GGA-PBE) of a relaxed structure of YAlPt.

Lattice parameters (Å, degrees): 4.4545 6.9440 7.7309 90.00 90.00 90.00
With the nearest neighbours (Å) after each atom.
Sites, in units of the cell vectors:
Y: 0.2500 0.0285 0.6824  5 Pt 2.87-3.12, 3 Al 3.08-3.21
Y: 0.2500 0.5285 0.8176  5 Pt 2.87-3.12, 3 Al 3.08-3.21
Y: 0.7500 0.9715 0.3176  5 Pt 2.87-3.12, 3 Al 3.08-3.21
Y: 0.7500 0.4715 0.1824  5 Pt 2.87-3.12, 3 Al 3.08-3.21
Al: 0.2500 0.1491 0.0654  4 Pt 2.61-2.67
Al: 0.2500 0.6491 0.4346  4 Pt 2.61-2.67
Al: 0.7500 0.8509 0.9346  4 Pt 2.61-2.67
Al: 0.7500 0.3509 0.5654  4 Pt 2.61-2.67
Pt: 0.2500 0.2776 0.3856  4 Al 2.61-2.67, 1 Y 2.87
Pt: 0.2500 0.7776 0.1144  4 Al 2.61-2.67, 1 Y 2.87
Pt: 0.7500 0.7224 0.6144  4 Al 2.61-2.67, 1 Y 2.87
Pt: 0.7500 0.2224 0.8856  4 Al 2.61-2.67, 1 Y 2.87

Calculated values
Formation energy in meV per atom: -1150.5
Calculated density in g/cm³: 8.6
DFT total energy in eV per atom: -6.58


The following is a DFT calculation (GGA-PBE) of a relaxed structure of NbGeRh.

Lattice parameters (Å, degrees): 3.8767 6.5074 7.5079 90.00 90.00 90.00
With the nearest neighbours (Å) after each atom.
Sites, in units of the cell vectors:
Nb: 0.2500 0.9720 0.3217  5 Ge 2.73-2.80, 5 Rh 2.97-3.01
Nb: 0.2500 0.4720 0.1783  5 Ge 2.73-2.80, 5 Rh 2.97-3.01
Nb: 0.7500 0.0280 0.6783  5 Ge 2.73-2.80, 5 Rh 2.97-3.01
Nb: 0.7500 0.5280 0.8217  5 Ge 2.73-2.80, 5 Rh 2.97-3.01
Ge: 0.2500 0.7395 0.6237  4 Rh 2.47-2.54, 3 Nb 2.73
Ge: 0.2500 0.2395 0.8763  4 Rh 2.47-2.54, 3 Nb 2.73
Ge: 0.7500 0.2605 0.3763  4 Rh 2.47-2.54, 3 Nb 2.73
Ge: 0.7500 0.7605 0.1237  4 Rh 2.47-2.54, 3 Nb 2.73
Rh: 0.2500 0.3555 0.5623  4 Ge 2.47-2.54
Rh: 0.2500 0.8555 0.9377  4 Ge 2.47-2.54
Rh: 0.7500 0.6445 0.4377  4 Ge 2.47-2.54
Rh: 0.7500 0.1445 0.0623  4 Ge 2.47-2.54

Calculated values
Formation energy in meV per atom: -608.4
Calculated density in g/cm³: 9.4
DFT total energy in eV per atom: -7.97


The following is a DFT calculation (GGA-PBE) of a relaxed structure of CeU4N5.

Lattice parameters (Å, degrees): 14.2636 14.2636 14.2636 13.95 13.95 13.95
With the nearest neighbours (Å) after each atom.
Sites, in units of the cell vectors:
Ce: 0.0000 0.0000 0.0000  6 N 2.56
U: 0.5983 0.5983 0.5983  6 N 2.38-2.43
U: 0.1996 0.1996 0.1996  6 N 2.44
U: 0.8004 0.8004 0.8004  6 N 2.44
U: 0.4017 0.4017 0.4017  6 N 2.38-2.43
N: 0.7044 0.7044 0.7044  3 U 2.38, 3 Ce 2.56
N: 0.5000 0.5000 0.5000  6 U 2.44
N: 0.1008 0.1008 0.1008  6 U 2.43-2.44
N: 0.2956 0.2956 0.2956  3 U 2.38, 3 Ce 2.56
N: 0.8992 0.8992 0.8992  6 U 2.43-2.44

Calculated values
Formation energy in meV per atom: -1543.7
Calculated density in g/cm³: 13.1
DFT total energy in eV per atom: -10.64


The following is a DFT calculation (GGA-PBE) of a relaxed structure of Ba6Zn7F26.

Lattice parameters (Å, degrees): 10.3467 10.3467 12.4800 53.60 53.60 33.86
With the nearest neighbours (Å) after each atom.
Sites, in units of the cell vectors:
Ba: 0.6560 0.6560 0.1064  6 F 2.70-2.84
Ba: 0.3440 0.3440 0.8936  6 F 2.70-2.84
Ba: 0.3566 0.3566 0.4053  8 F 2.64-2.94
Ba: 0.6434 0.6434 0.5947  8 F 2.64-2.94
Ba: 0.8535 0.8535 0.1509  8 F 2.65-2.88
Ba: 0.1465 0.1465 0.8491  8 F 2.65-2.88
Zn: 0.7442 0.2558 0.5000  6 F 2.05-2.07
Zn: 0.2558 0.7442 0.5000  6 F 2.05-2.07
Zn: 0.0142 0.0142 0.2200  6 F 1.97-2.17
Zn: 0.9858 0.9858 0.7800  6 F 1.97-2.17
Zn: 0.2219 0.2219 0.2879  5 F 2.03-2.06
Zn: 0.7781 0.7781 0.7121  5 F 2.03-2.06
Zn: 0.5000 0.5000 0.0000  6 F 2.02-2.07
F: 0.3738 0.3738 0.1627  1 Zn 2.02
F: 0.6262 0.6262 0.8373  1 Zn 2.02
F: 0.0893 0.0893 0.4178  3 Zn 2.06-2.07
F: 0.9107 0.9107 0.5822  3 Zn 2.06-2.07
F: 0.1418 0.1418 0.0847  1 Zn 1.98
F: 0.8582 0.8582 0.9153  1 Zn 1.98
F: 0.8882 0.8882 0.3247  1 Zn 1.97
F: 0.1118 0.1118 0.6753  1 Zn 1.97
F: 0.5914 0.5914 0.4194  2 Zn 2.05
F: 0.4086 0.4086 0.5806  2 Zn 2.05
F: 0.7257 0.2273 0.9130  2 Zn 2.07-2.17
F: 0.7727 0.2743 0.0870  2 Zn 2.07-2.17
F: 0.2743 0.7727 0.0870  2 Zn 2.07-2.17
F: 0.9951 0.5209 0.6190  1 Zn 2.03
F: 0.4791 0.0049 0.3810  1 Zn 2.03
F: 0.0049 0.4791 0.3810  1 Zn 2.03
F: 0.5209 0.9951 0.6190  1 Zn 2.03
F: 0.9822 0.5233 0.8533  1 Zn 2.04
F: 0.4767 0.0178 0.1467  1 Zn 2.04
F: 0.0178 0.4767 0.1467  1 Zn 2.04
F: 0.5233 0.9822 0.8533  1 Zn 2.04
F: 0.2586 0.7229 0.6740  2 Zn 2.05-2.06
F: 0.2771 0.7414 0.3260  2 Zn 2.05-2.06
F: 0.7414 0.2771 0.3260  2 Zn 2.05-2.06
F: 0.7229 0.2586 0.6740  2 Zn 2.05-2.06
F: 0.2273 0.7257 0.9130  2 Zn 2.07-2.17

Calculated values
Formation energy in meV per atom: -3327.6
Calculated density in g/cm³: 5.1
DFT total energy in eV per atom: -4.82


The following is a DFT calculation (GGA-PBE) of a relaxed structure of Rb2UPt3Se6.

Lattice parameters (Å, degrees): 11.7610 10.1917 9.2755 74.17 56.48 49.35
With the nearest neighbours (Å) after each atom.
Sites, in units of the cell vectors:
Rb: 0.7500 0.7500 0.7500  8 Se 3.45-3.46
Rb: 0.2500 0.2500 0.2500  8 Se 3.45-3.46
Rb: 0.3232 0.6768 0.3232  6 Se 3.71-3.77
Rb: 0.6768 0.3232 0.6768  6 Se 3.71-3.77
U: 0.8317 0.8317 0.1683  6 Se 2.84-2.87
U: 0.1683 0.1683 0.8317  6 Se 2.84-2.87
Pt: 0.5048 0.1680 0.4952  4 Se 2.51-2.52
Pt: 0.8320 0.4952 0.1680  4 Se 2.51-2.52
Pt: 0.4952 0.8320 0.5048  4 Se 2.51-2.52
Pt: 0.1680 0.5048 0.8320  4 Se 2.51-2.52
Pt: 0.8368 0.1632 0.1632  4 Se 2.50
Pt: 0.1632 0.8368 0.8368  4 Se 2.50
Se: 0.8218 0.9763 0.4013  2 Pt 2.50-2.52
Se: 0.8006 0.4013 0.9763  2 Pt 2.50-2.52
Se: 0.4013 0.8006 0.8218  2 Pt 2.50-2.52
Se: 0.9763 0.8218 0.8006  2 Pt 2.50-2.52
Se: 0.1782 0.0237 0.5987  2 Pt 2.50-2.52
Se: 0.1994 0.5987 0.0237  2 Pt 2.50-2.52
Se: 0.5987 0.1994 0.1782  2 Pt 2.50-2.52
Se: 0.0237 0.1782 0.1994  2 Pt 2.50-2.52
Se: 0.8116 0.5911 0.4089  2 Pt 2.51
Se: 0.1884 0.4089 0.5911  2 Pt 2.51
Se: 0.4089 0.1884 0.8116  2 Pt 2.51
Se: 0.5911 0.8116 0.1884  2 Pt 2.51

Calculated values
Formation energy in meV per atom: -1085.9
Calculated density in g/cm³: 7.0
DFT total energy in eV per atom: -5.22